A | # MgBiF5 | the Materials Project database | PBE | relaxed
data_MgBiF5
_space_group_name_H-M_alt 'P 1'
_space_group_IT_number 1
_space_group_name_Hall 'P 1'
_cell_length_a 5.775
_cell_length_b 5.775
_cell_length_c 8.498
_cell_angle_alpha 67.94
_cell_angle_beta 67.94
_cell_angle_gamma 71.26
loop_
_atom_site_label
_atom_site_type_symbol
_atom_site_fract_x
_atom_site_fract_y
_atom_site_fract_z
Mg1 Mg 0.515 0.488 0.746
Mg2 Mg 0.488 0.515 0.246
Bi1 Bi 0.003 0.999 0.996
Bi2 Bi 0.999 0.003 0.496
F1 F 0.163 0.839 0.247
F2 F 0.839 0.163 0.747
F3 F 0.229 0.309 0.355
F4 F 0.698 0.769 0.141
F5 F 0.706 0.331 0.074
F6 F 0.661 0.312 0.432
F7 F 0.312 0.661 0.932
F8 F 0.331 0.706 0.574
F9 F 0.309 0.229 0.855
F10 F 0.769 0.698 0.641
# Magnetization = 0.00 μB/f.u.
# Space-group type = Cc (9)
# Calculated volume = 119 Å³/f.u.


B | # MgBiF5 | the Materials Project database | PBE | relaxed
data_MgBiF5
_space_group_name_H-M_alt 'P 1'
_space_group_IT_number 1
_space_group_name_Hall 'P 1'
_cell_length_a 10.462
_cell_length_b 5.390
_cell_length_c 8.424
_cell_angle_alpha 76.49
_cell_angle_beta 90.00
_cell_angle_gamma 90.00
loop_
_atom_site_label
_atom_site_type_symbol
_atom_site_fract_x
_atom_site_fract_y
_atom_site_fract_z
Mg1 Mg 0.011 0.518 0.802
Mg2 Mg 0.511 0.482 0.698
Mg3 Mg 0.989 0.482 0.198
Mg4 Mg 0.489 0.518 0.302
Bi1 Bi 0.767 0.096 0.606
Bi2 Bi 0.267 0.904 0.894
Bi3 Bi 0.233 0.904 0.394
Bi4 Bi 0.733 0.096 0.106
F1 F 0.904 0.394 0.643
F2 F 0.404 0.606 0.857
F3 F 0.096 0.606 0.357
F4 F 0.596 0.394 0.143
F5 F 0.597 0.365 0.503
F6 F 0.097 0.635 0.997
F7 F 0.403 0.635 0.497
F8 F 0.903 0.365 0.003
F9 F 0.413 0.160 0.752
F10 F 0.913 0.840 0.748
F11 F 0.587 0.840 0.248
F12 F 0.087 0.160 0.252
F13 F 0.135 0.242 0.823
F14 F 0.635 0.758 0.677
F15 F 0.865 0.758 0.177
F16 F 0.365 0.242 0.323
F17 F 0.669 0.218 0.818
F18 F 0.169 0.782 0.682
F19 F 0.331 0.782 0.182
F20 F 0.831 0.218 0.318
# Magnetization = 0.00 μB/f.u.
# Space-group type = P2_1/c (14)
# Calculated volume = 115 Å³/f.u.


Referenced to the most stable arrangement, the calculated values in meV per atom are A 26; B 0.


A | # Bi5O7F | the Materials Project database | PBE | relaxed
data_Bi5O7F
_space_group_name_H-M_alt 'P 1'
_space_group_IT_number 1
_space_group_name_Hall 'P 1'
_cell_length_a 12.525
_cell_length_b 6.922
_cell_length_c 13.495
_cell_angle_alpha 61.88
_cell_angle_beta 90.00
_cell_angle_gamma 90.00
loop_
_atom_site_label
_atom_site_type_symbol
_atom_site_fract_x
_atom_site_fract_y
_atom_site_fract_z
Bi1 Bi 0.249 0.991 0.430
Bi2 Bi 0.277 0.649 0.767
Bi3 Bi 0.235 0.328 0.081
Bi4 Bi 0.522 0.315 0.917
Bi5 Bi 0.490 0.624 0.608
Bi6 Bi 0.990 0.376 0.892
Bi7 Bi 0.022 0.685 0.583
Bi8 Bi 0.735 0.672 0.419
Bi9 Bi 0.777 0.351 0.733
Bi10 Bi 0.749 0.009 0.070
Bi11 Bi 0.251 0.991 0.930
Bi12 Bi 0.223 0.649 0.267
Bi13 Bi 0.265 0.328 0.581
Bi14 Bi 0.978 0.315 0.417
Bi15 Bi 0.010 0.624 0.108
Bi16 Bi 0.510 0.376 0.392
Bi17 Bi 0.478 0.685 0.083
Bi18 Bi 0.765 0.672 0.919
Bi19 Bi 0.723 0.351 0.233
Bi20 Bi 0.751 0.009 0.570
O1 O 0.105 0.000 0.507
O2 O 0.898 0.479 0.002
O3 O 0.344 0.884 0.576
O4 O 0.666 0.386 0.993
O5 O 0.858 0.579 0.778
O6 O 0.104 0.618 0.736
O7 O 0.742 0.678 0.582
O8 O 0.242 0.322 0.918
O9 O 0.604 0.382 0.764
O10 O 0.358 0.421 0.722
O11 O 0.166 0.614 0.507
O12 O 0.844 0.116 0.924
O13 O 0.398 0.521 0.498
O14 O 0.605 0.000 0.993
O15 O 0.395 0.000 0.007
O16 O 0.602 0.479 0.502
O17 O 0.156 0.884 0.076
O18 O 0.834 0.386 0.493
O19 O 0.642 0.579 0.278
O20 O 0.396 0.618 0.236
O21 O 0.758 0.678 0.082
O22 O 0.258 0.322 0.418
O23 O 0.896 0.382 0.264
O24 O 0.142 0.421 0.222
O25 O 0.334 0.614 0.007
O26 O 0.656 0.116 0.424
O27 O 0.102 0.521 0.998
O28 O 0.895 0.000 0.493
F1 F 0.522 0.287 0.227
F2 F 0.022 0.713 0.273
F3 F 0.978 0.287 0.727
F4 F 0.478 0.713 0.773
# Magnetization = 0.00 μB/f.u.
# Space-group type = P2_1/c (14)
# Calculated volume = 258 Å³/f.u.


B | # Bi5O7F | the Materials Project database | PBE | relaxed
data_Bi5O7F
_space_group_name_H-M_alt 'P 1'
_space_group_IT_number 1
_space_group_name_Hall 'P 1'
_cell_length_a 9.724
_cell_length_b 9.724
_cell_length_c 13.472
_cell_angle_alpha 70.91
_cell_angle_beta 70.91
_cell_angle_gamma 24.92
loop_
_atom_site_label
_atom_site_type_symbol
_atom_site_fract_x
_atom_site_fract_y
_atom_site_fract_z
Bi1 Bi 0.472 0.472 0.352
Bi2 Bi 0.879 0.879 0.584
Bi3 Bi 0.253 0.253 0.871
Bi4 Bi 0.403 0.403 0.107
Bi5 Bi 0.796 0.796 0.362
Bi6 Bi 0.204 0.204 0.638
Bi7 Bi 0.597 0.597 0.893
Bi8 Bi 0.747 0.747 0.129
Bi9 Bi 0.121 0.121 0.416
Bi10 Bi 0.528 0.528 0.648
O1 O 0.935 0.935 0.402
O2 O 0.412 0.412 0.517
O3 O 0.302 0.302 0.705
O4 O 0.382 0.382 0.286
O5 O 0.708 0.708 0.903
O6 O 0.772 0.772 0.565
O7 O 0.849 0.849 0.173
O8 O 0.151 0.151 0.827
O9 O 0.228 0.228 0.435
O10 O 0.292 0.292 0.097
O11 O 0.618 0.618 0.714
O12 O 0.698 0.698 0.295
O13 O 0.588 0.588 0.483
O14 O 0.065 0.065 0.598
F1 F 0.920 0.920 0.972
F2 F 0.080 0.080 0.028
# Magnetization = 0.00 μB/f.u.
# Space-group type = C2/m (12)
# Calculated volume = 253 Å³/f.u.


Referenced to the most stable arrangement, the calculated values in meV per atom are A 0; B 12.


A | # Bi5O7F | the Materials Project database | PBE | relaxed
data_Bi5O7F
_space_group_name_H-M_alt 'P 1'
_space_group_IT_number 1
_space_group_name_Hall 'P 1'
_cell_length_a 4.192
_cell_length_b 9.758
_cell_length_c 13.483
_cell_angle_alpha 109.15
_cell_angle_beta 89.97
_cell_angle_gamma 102.38
loop_
_atom_site_label
_atom_site_type_symbol
_atom_site_fract_x
_atom_site_fract_y
_atom_site_fract_z
Bi1 Bi 0.468 0.944 0.651
Bi2 Bi 0.876 0.759 0.418
Bi3 Bi 0.251 0.509 0.130
Bi4 Bi 0.399 0.805 0.896
Bi5 Bi 0.800 0.592 0.639
Bi6 Bi 0.200 0.408 0.361
Bi7 Bi 0.601 0.195 0.104
Bi8 Bi 0.749 0.491 0.870
Bi9 Bi 0.124 0.241 0.582
Bi10 Bi 0.532 0.056 0.349
O1 O 0.933 0.872 0.599
O2 O 0.410 0.825 0.485
O3 O 0.305 0.607 0.296
O4 O 0.377 0.765 0.717
O5 O 0.704 0.417 0.096
O6 O 0.774 0.546 0.436
O7 O 0.849 0.696 0.828
O8 O 0.151 0.304 0.172
O9 O 0.226 0.454 0.564
O10 O 0.296 0.583 0.904
O11 O 0.623 0.235 0.283
O12 O 0.695 0.393 0.704
O13 O 0.590 0.175 0.515
O14 O 0.067 0.128 0.401
F1 F 0.924 0.837 0.030
F2 F 0.076 0.163 0.970
# Magnetization = 0.00 μB/f.u.
# Space-group type = P-1 (2)
# Calculated volume = 254 Å³/f.u.


B | # Bi5O7F | the Materials Project database | PBE | relaxed
data_Bi5O7F
_space_group_name_H-M_alt 'P 1'
_space_group_IT_number 1
_space_group_name_Hall 'P 1'
_cell_length_a 14.660
_cell_length_b 14.660
_cell_length_c 14.660
_cell_angle_alpha 159.27
_cell_angle_beta 113.79
_cell_angle_gamma 70.21
loop_
_atom_site_label
_atom_site_type_symbol
_atom_site_fract_x
_atom_site_fract_y
_atom_site_fract_z
Bi1 Bi 0.387 0.318 0.091
Bi2 Bi 0.272 0.704 0.591
Bi3 Bi 0.228 0.818 0.431
Bi4 Bi 0.113 0.204 0.931
Bi5 Bi 0.357 0.405 0.889
Bi6 Bi 0.484 0.095 0.453
Bi7 Bi 0.857 0.968 0.953
Bi8 Bi 0.984 0.532 0.389
Bi9 Bi 0.949 0.699 0.250
Bi10 Bi 0.551 0.801 0.750
Bi11 Bi 0.449 0.199 0.250
Bi12 Bi 0.051 0.301 0.750
Bi13 Bi 0.016 0.468 0.611
Bi14 Bi 0.143 0.032 0.047
Bi15 Bi 0.643 0.595 0.111
Bi16 Bi 0.516 0.905 0.547
Bi17 Bi 0.887 0.796 0.069
Bi18 Bi 0.772 0.182 0.569
Bi19 Bi 0.728 0.296 0.409
Bi20 Bi 0.613 0.682 0.909
O1 O 0.418 0.497 0.413
O2 O 0.416 0.995 0.913
O3 O 0.220 0.099 0.017
O4 O 0.418 0.797 0.517
O5 O 0.497 0.520 0.121
O6 O 0.101 0.624 0.621
O7 O 0.250 0.989 0.739
O8 O 0.250 0.489 0.239
O9 O 0.399 0.020 0.523
O10 O 0.003 0.124 0.023
O11 O 0.082 0.599 0.379
O12 O 0.280 0.297 0.879
O13 O 0.084 0.997 0.579
O14 O 0.082 0.495 0.079
O15 O 0.918 0.505 0.921
O16 O 0.916 0.003 0.421
O17 O 0.918 0.401 0.621
O18 O 0.720 0.703 0.121
O19 O 0.997 0.876 0.977
O20 O 0.601 0.980 0.477
O21 O 0.750 0.511 0.761
O22 O 0.750 0.011 0.261
O23 O 0.899 0.376 0.379
O24 O 0.503 0.480 0.879
O25 O 0.582 0.203 0.483
O26 O 0.780 0.901 0.983
O27 O 0.582 0.503 0.587
O28 O 0.584 0.005 0.087
F1 F 0.903 0.153 0.750
F2 F 0.097 0.847 0.250
F3 F 0.403 0.653 0.750
F4 F 0.597 0.347 0.250
# Magnetization = 0.00 μB/f.u.
# Space-group type = Ibca (73)
# Calculated volume = 253 Å³/f.u.


Referenced to the most stable arrangement, the calculated values in meV per atom are A 27; B 0.